[1]
A plane-wave DFT calculation with PBE-GGA was carried out for a geometry-optimized YPdPb structure.

a b c (Å): 7.8795 7.8795 3.8756
angles (deg): 90.00 90.00 120.00
Space group P-62m (No. 189)
One atom of each set of equivalent atoms:
Y (0.0000, 0.3983, 0.0000) x3
Pd (0.0000, 0.0000, 0.0000) x1
Pd (0.3333, 0.6667, 0.5000) x2
Pb (0.0000, 0.7333, 0.5000) x3

* V: 23.15 A^3/atom

***

[2]
A plane-wave DFT calculation with PBE-GGA was carried out for a geometry-optimized Th2SiGe structure.

a b c (Å): 4.260 5.945 7.929
angles (deg): 90.00 90.00 90.00
Space group Pmc2_1 (No. 26)
One atom of each set of equivalent atoms:
Th (0.000, 0.119, 0.000) x2
Th (0.500, 0.376, 0.639) x2
Si (0.500, 0.107, 0.275) x2
Ge (0.000, 0.390, 0.360) x2

* V: 25.10 A^3/atom

***

[3]
A plane-wave DFT calculation with PBE-GGA was carried out for a geometry-optimized NdMgCu4 structure.

a b c (Å): 7.299 7.299 7.299
angles (deg): 90.00 90.00 90.00
Space group F-43m (No. 216)
One atom of each set of equivalent atoms:
Nd (0.000, 0.000, 0.000) x4
Mg (0.250, 0.250, 0.750) x4
Cu (0.123, 0.123, 0.377) x16

* V: 16.20 A^3/atom

***

[4]
A plane-wave DFT calculation with PBE-GGA was carried out for a geometry-optimized Cs2Co3S4 structure.

a b c (Å): 5.414 10.892 13.614
angles (deg): 90.00 90.00 90.00
Space group Ibam (No. 72)
One atom of each set of equivalent atoms:
Cs (0.244, 0.124, 0.000) x8
Co (0.000, 0.253, 0.250) x8
Co (0.000, 0.500, 0.250) x4
S (0.249, 0.374, 0.171) x16

* V: 22.30 A^3/atom

***

[5]
A plane-wave DFT calculation with PBE-GGA was carried out for a geometry-optimized Na6Mg3Si2SnS4O24 structure.

a b c (Å): 8.999 9.025 22.257
angles (deg): 90.21 90.35 119.90
Space group P1 (No. 1)
One atom of each set of equivalent atoms:
Na (0.000, 0.000, 0.000) x1
Na (0.001, 0.645, 0.760) x1
Na (0.007, 0.631, 0.251) x1
Na (0.030, 0.292, 0.165) x1
Na (0.037, 0.948, 0.682) x1
Na (0.316, 0.268, 0.090) x1
Na (0.319, 0.592, 0.671) x1
Na (0.348, 0.281, 0.589) x1
Na (0.353, 0.601, 0.002) x1
Na (0.385, 0.996, 0.509) x1
Na (0.631, 0.601, 0.509) x1
Na (0.645, 0.308, 0.667) x1
Na (0.646, 0.249, 0.997) x1
Na (0.670, 0.960, 0.423) x1
Na (0.681, 0.953, 0.917) x1
Na (0.701, 0.284, 0.342) x1
Na (0.964, 0.916, 0.327) x1
Na (0.976, 0.274, 0.845) x1
Mg (0.312, 0.273, 0.932) x1
Mg (0.330, 0.272, 0.233) x1
Mg (0.333, 0.266, 0.736) x1
Mg (0.339, 0.284, 0.437) x1
Mg (0.664, 0.951, 0.569) x1
Mg (0.669, 0.934, 0.264) x1
Mg (0.683, 0.959, 0.071) x1
Mg (0.995, 0.617, 0.898) x1
Mg (0.997, 0.601, 0.403) x1
Si (0.033, 0.978, 0.835) x1
Si (0.372, 0.947, 0.666) x1
Si (0.662, 0.648, 0.664) x1
Si (0.701, 0.309, 0.498) x1
Si (0.968, 0.947, 0.170) x1
Si (0.998, 0.320, 0.000) x1
Sn (0.002, 0.620, 0.104) x1
Sn (0.660, 0.929, 0.770) x1
Sn (0.992, 0.614, 0.602) x1
S (0.001, 0.912, 0.499) x1
S (0.043, 0.284, 0.335) x1
S (0.291, 0.610, 0.500) x1
S (0.297, 0.908, 0.002) x1
S (0.332, 0.573, 0.836) x1
S (0.333, 0.984, 0.336) x1
S (0.375, 0.653, 0.168) x1
S (0.623, 0.575, 0.336) x1
S (0.626, 0.280, 0.836) x1
S (0.662, 0.239, 0.170) x1
S (0.701, 0.610, 0.001) x1
S (0.960, 0.240, 0.668) x1
O (0.009, 0.789, 0.841) x1
O (0.022, 0.437, 0.340) x1
O (0.036, 0.444, 0.064) x1
O (0.041, 0.840, 0.555) x1
O (0.105, 0.095, 0.896) x1
O (0.127, 0.257, 0.388) x1
O (0.133, 0.265, 0.675) x1
O (0.135, 0.072, 0.774) x1
O (0.140, 0.301, 0.280) x1
O (0.154, 0.082, 0.493) x1
O (0.155, 0.122, 0.174) x1
O (0.173, 0.582, 0.841) x1
O (0.174, 0.306, 0.001) x1
O (0.175, 0.813, 0.342) x1
O (0.181, 0.763, 0.662) x1
O (0.185, 0.840, 0.057) x1
O (0.193, 0.586, 0.558) x1
O (0.193, 0.627, 0.167) x1
O (0.203, 0.641, 0.450) x1
O (0.212, 0.796, 0.950) x1
O (0.305, 0.068, 0.284) x1
O (0.306, 0.455, 0.494) x1
O (0.316, 0.474, 0.782) x1
O (0.326, 0.084, 0.996) x1
O (0.341, 0.108, 0.673) x1
O (0.356, 0.482, 0.174) x1
O (0.359, 0.495, 0.891) x1
O (0.360, 0.089, 0.392) x1
O (0.455, 0.902, 0.726) x1
O (0.456, 0.763, 0.221) x1
O (0.464, 0.762, 0.505) x1
O (0.464, 0.916, 0.011) x1
O (0.465, 0.732, 0.112) x1
O (0.486, 0.750, 0.835) x1
O (0.486, 0.980, 0.607) x1
O (0.490, 0.970, 0.329) x1
O (0.492, 0.463, 0.674) x1
O (0.511, 0.297, 0.498) x1
O (0.518, 0.269, 0.177) x1
O (0.527, 0.262, 0.891) x1
O (0.527, 0.496, 0.392) x1
O (0.533, 0.452, 0.993) x1
O (0.538, 0.463, 0.284) x1
O (0.546, 0.300, 0.781) x1
O (0.638, 0.138, 0.115) x1
O (0.639, 0.733, 0.604) x1
O (0.643, 0.121, 0.832) x1
O (0.643, 0.748, 0.332) x1
O (0.673, 0.758, 0.009) x1
O (0.678, 0.119, 0.503) x1
O (0.689, 0.157, 0.224) x1
O (0.717, 0.779, 0.722) x1
O (0.775, 0.577, 0.057) x1
O (0.787, 0.436, 0.560) x1
O (0.802, 0.597, 0.339) x1
O (0.803, 0.427, 0.840) x1
O (0.812, 0.404, 0.439) x1
O (0.818, 0.647, 0.951) x1
O (0.824, 0.132, 0.006) x1
O (0.829, 0.409, 0.166) x1
O (0.837, 0.627, 0.665) x1
O (0.839, 0.978, 0.832) x1
O (0.843, 0.918, 0.506) x1
O (0.853, 0.172, 0.723) x1
O (0.859, 0.915, 0.231) x1
O (0.864, 0.129, 0.331) x1
O (0.878, 0.130, 0.616) x1
O (0.881, 0.973, 0.109) x1
O (0.969, 0.417, 0.945) x1
O (0.977, 0.800, 0.446) x1
O (0.978, 0.415, 0.662) x1
O (0.983, 0.767, 0.165) x1

* V: 13.06 A^3/atom

***

[6]
A plane-wave DFT calculation with PBE-GGA was carried out for a geometry-optimized PdC structure.

a b c (Å): 4.440 4.440 4.440
angles (deg): 90.00 90.00 90.00
Space group Fm-3m (No. 225)
One atom of each set of equivalent atoms:
Pd (0.000, 0.000, 0.000) x4
C (0.000, 0.000, 0.500) x4

* V: 10.94 A^3/atom

***

[7]
A plane-wave DFT calculation with PBE-GGA was carried out for a geometry-optimized Tb3Se2NO structure.

a b c (Å): 15.605 3.939 9.765
angles (deg): 90.00 97.38 90.00
Space group C2/m (No. 12)
One atom of each set of equivalent atoms:
Tb (0.044, 0.000, 0.261) x4
Tb (0.109, 0.500, 0.946) x4
Tb (0.198, 0.000, 0.675) x4
Se (0.129, 0.500, 0.474) x4
Se (0.212, 0.000, 0.150) x4
N (0.098, 0.000, 0.813) x4
O (0.036, 0.500, 0.140) x4

* V: 21.26 A^3/atom

***

[8]
A plane-wave DFT calculation with PBE-GGA was carried out for a geometry-optimized YSc structure.

a b c (Å): 3.4793 3.4793 5.4982
angles (deg): 90.00 90.00 120.00
Space group P-6m2 (No. 187)
One atom of each set of equivalent atoms:
Y (0.0000, 0.0000, 0.0000) x1
Sc (0.3333, 0.6667, 0.5000) x1

* V: 28.82 A^3/atom

***

[9]
A plane-wave DFT calculation with PBE-GGA was carried out for a geometry-optimized UH6C2S2O8 structure.

a b c (Å): 13.362 10.341 15.866
angles (deg): 90.00 112.39 90.00
Space group P2_1/c (No. 14)
One atom of each set of equivalent atoms:
U (0.068, 0.055, 0.280) x4
U (0.424, 0.722, 0.200) x4
H (0.012, 0.681, 0.505) x4
H (0.113, 0.701, 0.006) x4
H (0.150, 0.631, 0.535) x4
H (0.155, 0.131, 0.543) x4
H (0.177, 0.109, 0.662) x4
H (0.201, 0.236, 0.121) x4
H (0.313, 0.519, 0.407) x4
H (0.319, 0.667, 0.890) x4
H (0.324, 0.125, 0.847) x4
H (0.352, 0.133, 0.967) x4
H (0.354, 0.527, 0.964) x4
H (0.459, 0.622, 0.946) x4
C (0.097, 0.711, 0.538) x4
C (0.204, 0.159, 0.613) x4
C (0.303, 0.086, 0.902) x4
C (0.375, 0.586, 0.916) x4
S (0.125, 0.745, 0.653) x4
S (0.166, 0.121, 0.881) x4
S (0.339, 0.117, 0.634) x4
S (0.363, 0.010, 0.321) x4
O (0.025, 0.158, 0.182) x4
O (0.057, 0.644, 0.156) x4
O (0.100, 0.628, 0.694) x4
O (0.102, 0.057, 0.791) x4
O (0.114, 0.545, 0.880) x4
O (0.141, 0.074, 0.957) x4
O (0.154, 0.236, 0.370) x4
O (0.240, 0.720, 0.197) x4
O (0.252, 0.064, 0.284) x4
O (0.341, 0.527, 0.130) x4
O (0.370, 0.174, 0.564) x4
O (0.382, 0.701, 0.590) x4
O (0.383, 0.574, 0.754) x4
O (0.405, 0.163, 0.728) x4
O (0.444, 0.115, 0.352) x4
O (0.462, 0.643, 0.308) x4

* V: 13.34 A^3/atom

***

[10]
A plane-wave DFT calculation with PBE-GGA was carried out for a geometry-optimized CdAg2SnS4 structure.

a b c (Å): 6.829 4.143 7.245
angles (deg): 90.00 90.12 90.00
Space group Pm (No. 6)
One atom of each set of equivalent atoms:
Cd (0.000, 0.000, 0.000) x1
Ag (0.005, 0.500, 0.511) x1
Ag (0.524, 0.500, 0.841) x1
Sn (0.519, 0.000, 0.321) x1
S (0.385, 0.000, 0.012) x1
S (0.388, 0.500, 0.492) x1
S (0.872, 0.000, 0.340) x1
S (0.893, 0.500, 0.838) x1

* V: 25.62 A^3/atom

***

[11]
A plane-wave DFT calculation with PBE-GGA was carried out for a geometry-optimized TbSi2Ni10 structure.

a b c (Å): 4.741 8.046 8.358
angles (deg): 90.00 90.00 90.00
Space group Immm (No. 71)
One atom of each set of equivalent atoms:
Tb (0.000, 0.000, 0.000) x2
Si (0.000, 0.000, 0.345) x4
Ni (0.000, 0.245, 0.500) x4
Ni (0.000, 0.348, 0.000) x4
Ni (0.000, 0.500, 0.273) x4
Ni (0.250, 0.250, 0.250) x8

* V: 12.26 A^3/atom

***

The following energy of formation values (in meV per atom) correspond, in order, to the records above: -734; -709; -193; -853; -2390; 1487; -2377; 51; -1497; -541; -280.